# 1
Density functional theory data (r²SCAN) for an optimized crystal structure of Tm3AlN.

Unit cell a=4.6573 b=4.6573 c=4.6573 alpha=90.00 beta=90.00 gamma=90.00
Closest atoms and distances in Å follow each position.
Fractional coordinates of all 5 atoms:
Tm (0.5000, 0.5000, 0.0000)  2 N 2.33
Tm (0.5000, 0.0000, 0.5000)  2 N 2.33
Tm (0.0000, 0.5000, 0.5000)  2 N 2.33
Al (0.0000, 0.0000, 0.0000)  12 Tm 3.29
N (0.5000, 0.5000, 0.5000)  6 Tm 2.33

Values from the calculation:
Calculated formation energy ... -5.62 eV/f.u.

=====

# 2
Density functional theory data (r²SCAN) for an optimized crystal structure of Zr3AlN.

Unit cell a=3.3686 b=6.0165 c=8.9938 alpha=90.00 beta=90.00 gamma=106.26
Closest atoms and distances in Å follow each position.
Fractional coordinates of all 10 atoms:
Zr (0.0446, 0.0892, 0.7500)  2 N 2.31
Zr (0.9554, 0.9108, 0.2500)  2 N 2.31
Zr (0.3732, 0.7463, 0.5425)  2 N 2.26
Zr (0.6268, 0.2537, 0.4575)  2 N 2.26
Zr (0.6268, 0.2537, 0.0425)  2 N 2.26
Zr (0.3732, 0.7463, 0.9575)  2 N 2.26
Al (0.2530, 0.5060, 0.2500)  8 Zr 2.88-2.97
Al (0.7470, 0.4940, 0.7500)  8 Zr 2.88-2.97
N (0.0000, 0.0000, 0.5000)  6 Zr 2.26-2.31
N (0.0000, 0.0000, 0.0000)  6 Zr 2.26-2.31

Values from the calculation:
Calculated formation energy ... -5.59 eV/f.u.

=====

# 3
Density functional theory data (r²SCAN) for an optimized crystal structure of NaAlO2.

Unit cell a=5.1984 b=5.3903 c=6.9746 alpha=90.00 beta=90.00 gamma=90.00
Closest atoms and distances in Å follow each position.
Fractional coordinates of all 16 atoms:
Na (0.4847, 0.4309, 0.1223)  4 O 2.30-2.35
Na (0.9847, 0.0691, 0.6223)  4 O 2.30-2.35
Na (0.9847, 0.5691, 0.8777)  4 O 2.30-2.35
Na (0.4847, 0.9309, 0.3777)  4 O 2.30-2.35
Al (0.0003, 0.5624, 0.3742)  4 O 1.75-1.77
Al (0.5003, 0.4376, 0.6258)  4 O 1.75-1.77
Al (0.5003, 0.9376, 0.8742)  4 O 1.75-1.77
Al (0.0003, 0.0624, 0.1258)  4 O 1.75-1.77
O (0.9276, 0.8771, 0.3276)  2 Al 1.77
O (0.4276, 0.1229, 0.6724)  2 Al 1.77
O (0.4276, 0.6229, 0.8276)  2 Al 1.77
O (0.9276, 0.3771, 0.1724)  2 Al 1.77
O (0.3319, 0.5337, 0.4208)  2 Al 1.75-1.76
O (0.3319, 0.0337, 0.0792)  2 Al 1.75-1.76
O (0.8319, 0.9663, 0.9208)  2 Al 1.75-1.76
O (0.8319, 0.4663, 0.5792)  2 Al 1.75-1.76

Values from the calculation:
Calculated formation energy ... -11.42 eV/f.u.

=====

# 4
Density functional theory data (r²SCAN) for an optimized crystal structure of Na7Al4P9O32.

Unit cell a=14.0005 b=14.0005 c=6.1535 alpha=90.00 beta=90.00 gamma=90.00
Closest atoms and distances in Å follow each position.
Fractional coordinates of all 104 atoms:
Na (0.9248, 0.2575, 0.5912)  4 O 2.28-2.55
Na (0.5752, 0.7575, 0.9088)  4 O 2.28-2.55
Na (0.0752, 0.7425, 0.5912)  4 O 2.28-2.55
Na (0.4248, 0.2425, 0.9088)  4 O 2.28-2.55
Na (0.7425, 0.9248, 0.4088)  4 O 2.28-2.55
Na (0.2425, 0.5752, 0.0912)  4 O 2.28-2.55
Na (0.2575, 0.0752, 0.4088)  4 O 2.28-2.55
Na (0.7575, 0.4248, 0.0912)  4 O 2.28-2.55
Na (0.0000, 0.5000, 0.8147)  4 O 2.31-2.35
Na (0.5000, 0.0000, 0.6853)  4 O 2.31-2.35
Na (0.5000, 0.0000, 0.1853)  4 O 2.31-2.35
Na (0.0000, 0.5000, 0.3147)  4 O 2.31-2.35
Na (0.0000, 0.0000, 0.5000)  4 O 2.45
Na (0.5000, 0.5000, 0.0000)  4 O 2.45
Al (0.8208, 0.1218, 0.1387)  6 O 1.83-1.92
Al (0.6792, 0.6218, 0.3613)  6 O 1.83-1.92
Al (0.1792, 0.8782, 0.1387)  6 O 1.83-1.92
Al (0.3208, 0.3782, 0.3613)  6 O 1.83-1.92
Al (0.8782, 0.8208, 0.8613)  6 O 1.83-1.92
Al (0.3782, 0.6792, 0.6387)  6 O 1.83-1.92
Al (0.1218, 0.1792, 0.8613)  6 O 1.83-1.92
Al (0.6218, 0.3208, 0.6387)  6 O 1.83-1.92
P (0.1272, 0.2422, 0.3494)  4 O 1.48-1.61
P (0.3728, 0.7422, 0.1506)  4 O 1.48-1.61
P (0.8728, 0.7578, 0.3494)  4 O 1.48-1.61
P (0.6272, 0.2578, 0.1506)  4 O 1.48-1.61
P (0.7578, 0.1272, 0.6506)  4 O 1.48-1.61
P (0.2578, 0.3728, 0.8494)  4 O 1.48-1.61
P (0.2422, 0.8728, 0.6506)  4 O 1.48-1.61
P (0.7422, 0.6272, 0.8494)  4 O 1.48-1.61
P (0.9609, 0.3007, 0.1008)  4 O 1.50-1.63
P (0.5391, 0.8007, 0.3992)  4 O 1.50-1.63
P (0.0391, 0.6993, 0.1008)  4 O 1.50-1.63
P (0.4609, 0.1993, 0.3992)  4 O 1.50-1.63
P (0.6993, 0.9609, 0.8992)  4 O 1.50-1.63
P (0.1993, 0.5391, 0.6008)  4 O 1.50-1.63
P (0.3007, 0.0391, 0.8992)  4 O 1.50-1.63
P (0.8007, 0.4609, 0.6008)  4 O 1.50-1.63
P (0.0000, 0.0000, 0.0000)  4 O 1.53
P (0.5000, 0.5000, 0.5000)  4 O 1.53
O (0.9251, 0.4002, 0.0600)  1 P 1.50
O (0.5749, 0.9002, 0.4400)  1 P 1.50
O (0.0749, 0.5998, 0.0600)  1 P 1.50
O (0.4251, 0.0998, 0.4400)  1 P 1.50
O (0.5998, 0.9251, 0.9400)  1 P 1.50
O (0.0998, 0.5749, 0.5600)  1 P 1.50
O (0.4002, 0.0749, 0.9400)  1 P 1.50
O (0.9002, 0.4251, 0.5600)  1 P 1.50
O (0.0426, 0.3154, 0.2855)  2 P 1.61-1.63
O (0.4574, 0.8154, 0.2145)  2 P 1.61-1.63
O (0.9574, 0.6846, 0.2855)  2 P 1.61-1.63
O (0.5426, 0.1846, 0.2145)  2 P 1.61-1.63
O (0.6846, 0.0426, 0.7145)  2 P 1.61-1.63
O (0.1846, 0.4574, 0.7855)  2 P 1.61-1.63
O (0.3154, 0.9574, 0.7145)  2 P 1.61-1.63
O (0.8154, 0.5426, 0.7855)  2 P 1.61-1.63
O (0.8878, 0.2361, 0.2079)  1 P 1.52
O (0.6122, 0.7361, 0.2921)  1 P 1.52
O (0.1122, 0.7639, 0.2079)  1 P 1.52
O (0.3878, 0.2639, 0.2921)  1 P 1.52
O (0.7639, 0.8878, 0.7921)  1 P 1.52
O (0.2639, 0.6122, 0.7079)  1 P 1.52
O (0.2361, 0.1122, 0.7921)  1 P 1.52
O (0.7361, 0.3878, 0.7079)  1 P 1.52
O (0.0101, 0.2563, 0.9067)  1 P 1.51
O (0.4899, 0.7563, 0.5933)  1 P 1.51
O (0.9899, 0.7437, 0.9067)  1 P 1.51
O (0.5101, 0.2437, 0.5933)  1 P 1.51
O (0.7437, 0.0101, 0.0933)  1 P 1.51
O (0.2437, 0.4899, 0.4067)  1 P 1.51
O (0.2563, 0.9899, 0.0933)  1 P 1.51
O (0.7563, 0.5101, 0.4067)  1 P 1.51
O (0.2121, 0.3043, 0.3803)  1 P 1.48
O (0.2879, 0.8043, 0.1197)  1 P 1.48
O (0.7879, 0.6957, 0.3803)  1 P 1.48
O (0.7121, 0.1957, 0.1197)  1 P 1.48
O (0.6957, 0.2121, 0.6197)  1 P 1.48
O (0.1957, 0.2879, 0.8803)  1 P 1.48
O (0.3043, 0.7879, 0.6197)  1 P 1.48
O (0.8043, 0.7121, 0.8803)  1 P 1.48
O (0.0947, 0.1935, 0.5569)  1 P 1.52
O (0.4053, 0.6935, 0.9431)  1 P 1.52
O (0.9053, 0.8065, 0.5569)  1 P 1.52
O (0.5947, 0.3065, 0.9431)  1 P 1.52
O (0.8065, 0.0947, 0.4431)  1 P 1.52
O (0.3065, 0.4053, 0.0569)  1 P 1.52
O (0.1935, 0.9053, 0.4431)  1 P 1.52
O (0.6935, 0.5947, 0.0569)  1 P 1.52
O (0.1368, 0.1681, 0.1711)  1 P 1.52
O (0.3632, 0.6681, 0.3289)  1 P 1.52
O (0.8632, 0.8319, 0.1711)  1 P 1.52
O (0.6368, 0.3319, 0.3289)  1 P 1.52
O (0.8319, 0.1368, 0.8289)  1 P 1.52
O (0.3319, 0.3632, 0.6711)  1 P 1.52
O (0.1681, 0.8632, 0.8289)  1 P 1.52
O (0.6681, 0.6368, 0.6711)  1 P 1.52
O (0.9320, 0.0528, 0.1533)  1 P 1.53
O (0.5680, 0.5528, 0.3467)  1 P 1.53
O (0.0680, 0.9472, 0.1533)  1 P 1.53
O (0.4320, 0.4472, 0.3467)  1 P 1.53
O (0.9472, 0.9320, 0.8467)  1 P 1.53
O (0.4472, 0.5680, 0.6533)  1 P 1.53
O (0.0528, 0.0680, 0.8467)  1 P 1.53
O (0.5528, 0.4320, 0.6533)  1 P 1.53

Values from the calculation:
Calculated formation energy ... -139.26 eV/f.u.

=====

# 5
Density functional theory data (r²SCAN) for an optimized crystal structure of Na8Al6Si6SO28.

Unit cell a=9.0451 b=9.0451 c=9.0451 alpha=90.00 beta=90.00 gamma=90.00
Closest atoms and distances in Å follow each position.
Fractional coordinates of all 49 atoms:
Na (0.1915, 0.1915, 0.1915)  3 O 2.41
Na (0.1915, 0.8085, 0.8085)  3 O 2.41
Na (0.2385, 0.2385, 0.7615)  4 O 2.26-2.27
Na (0.2385, 0.7615, 0.2385)  4 O 2.26-2.27
Na (0.7615, 0.2385, 0.2385)  4 O 2.26-2.27
Na (0.7615, 0.7615, 0.7615)  4 O 2.26-2.27
Na (0.8085, 0.1915, 0.8085)  3 O 2.41
Na (0.8085, 0.8085, 0.1915)  3 O 2.41
Al (0.0000, 0.2504, 0.5000)  4 O 1.74
Al (0.0000, 0.7496, 0.5000)  4 O 1.74
Al (0.2504, 0.5000, 0.0000)  4 O 1.74
Al (0.5000, 0.0000, 0.7496)  4 O 1.74
Al (0.5000, 0.0000, 0.2504)  4 O 1.74
Al (0.7496, 0.5000, 0.0000)  4 O 1.74
Si (0.0000, 0.5000, 0.2495)  4 O 1.62
Si (0.0000, 0.5000, 0.7505)  4 O 1.62
Si (0.2495, 0.0000, 0.5000)  4 O 1.62
Si (0.5000, 0.7505, 0.0000)  4 O 1.62
Si (0.5000, 0.2495, 0.0000)  4 O 1.62
Si (0.7505, 0.0000, 0.5000)  4 O 1.62
S (0.0000, 0.0000, 0.0000)  4 O 1.48
O (0.0473, 0.3580, 0.6520)  1 Si 1.62, 1 Al 1.74
O (0.0473, 0.6420, 0.3480)  1 Si 1.62, 1 Al 1.74
O (0.0942, 0.0942, 0.9058)  1 S 1.48
O (0.0942, 0.9058, 0.0942)  1 S 1.48
O (0.1506, 0.1413, 0.4504)  1 Si 1.62, 1 Al 1.74
O (0.1413, 0.4504, 0.1506)  1 Si 1.62, 1 Al 1.74
O (0.1413, 0.5496, 0.8494)  1 Si 1.62, 1 Al 1.74
O (0.1506, 0.8587, 0.5496)  1 Si 1.62, 1 Al 1.74
O (0.3480, 0.0473, 0.6420)  1 Si 1.62, 1 Al 1.74
O (0.3580, 0.3480, 0.9527)  1 Si 1.62, 1 Al 1.74
O (0.3580, 0.6520, 0.0473)  1 Si 1.62, 1 Al 1.74
O (0.3480, 0.9527, 0.3580)  1 Si 1.62, 1 Al 1.74
O (0.4504, 0.1506, 0.1413)  1 Si 1.62, 1 Al 1.74
O (0.4504, 0.8494, 0.8587)  1 Si 1.62, 1 Al 1.74
O (0.5496, 0.1506, 0.8587)  1 Si 1.62, 1 Al 1.74
O (0.5496, 0.8494, 0.1413)  1 Si 1.62, 1 Al 1.74
O (0.6520, 0.0473, 0.3580)  1 Si 1.62, 1 Al 1.74
O (0.6420, 0.3480, 0.0473)  1 Si 1.62, 1 Al 1.74
O (0.6420, 0.6520, 0.9527)  1 Si 1.62, 1 Al 1.74
O (0.6520, 0.9527, 0.6420)  1 Si 1.62, 1 Al 1.74
O (0.8494, 0.1413, 0.5496)  1 Si 1.62, 1 Al 1.74
O (0.8587, 0.4504, 0.8494)  1 Si 1.62, 1 Al 1.74
O (0.8587, 0.5496, 0.1506)  1 Si 1.62, 1 Al 1.74
O (0.8494, 0.8587, 0.4504)  1 Si 1.62, 1 Al 1.74
O (0.9058, 0.0942, 0.0942)  1 S 1.48
O (0.9058, 0.9058, 0.9058)  1 S 1.48
O (0.9527, 0.3580, 0.3480)  1 Si 1.62, 1 Al 1.74
O (0.9527, 0.6420, 0.6520)  1 Si 1.62, 1 Al 1.74

Values from the calculation:
Calculated formation energy ... -140.12 eV/f.u.

=====

# 6
Density functional theory data (r²SCAN) for an optimized crystal structure of NaAlSi3O8.

Unit cell a=7.7057 b=7.4209 c=7.1709 alpha=79.52 beta=107.50 gamma=64.70
Closest atoms and distances in Å follow each position.
Fractional coordinates of all 26 atoms:
Na (0.7499, 0.2743, 0.8546)  5 O 2.35-2.61
Na (0.2501, 0.7257, 0.1454)  5 O 2.35-2.61
Al (0.8248, 0.8421, 0.7926)  4 O 1.74-1.75
Al (0.1752, 0.1579, 0.2074)  4 O 1.74-1.75
Si (0.1744, 0.1814, 0.7630)  4 O 1.60-1.62
Si (0.8256, 0.8186, 0.2370)  4 O 1.60-1.62
Si (0.2023, 0.5785, 0.6885)  4 O 1.60-1.64
Si (0.7977, 0.4215, 0.3115)  4 O 1.60-1.64
Si (0.4411, 0.7949, 0.6408)  4 O 1.60-1.65
Si (0.5589, 0.2051, 0.3592)  4 O 1.60-1.65
O (0.8667, 0.8775, 0.0339)  1 Si 1.61, 1 Al 1.75
O (0.1333, 0.1225, 0.9661)  1 Si 1.61, 1 Al 1.75
O (0.4178, 0.5872, 0.7224)  2 Si 1.64-1.65
O (0.5822, 0.4128, 0.2776)  2 Si 1.64-1.65
O (0.0818, 0.7052, 0.8108)  1 Si 1.60, 1 Al 1.75
O (0.9182, 0.2948, 0.1892)  1 Si 1.60, 1 Al 1.75
O (0.3284, 0.9664, 0.7400)  2 Si 1.60-1.62
O (0.6716, 0.0336, 0.2600)  2 Si 1.60-1.62
O (0.6904, 0.7081, 0.7323)  1 Si 1.60, 1 Al 1.74
O (0.3096, 0.2919, 0.2677)  1 Si 1.60, 1 Al 1.74
O (0.2836, 0.3264, 0.7762)  2 Si 1.62
O (0.7164, 0.6736, 0.2238)  2 Si 1.62
O (0.6805, 0.1033, 0.6109)  1 Si 1.61, 1 Al 1.75
O (0.3195, 0.8967, 0.3891)  1 Si 1.61, 1 Al 1.75
O (0.9453, 0.3183, 0.5618)  2 Si 1.62
O (0.0547, 0.6817, 0.4382)  2 Si 1.62

Values from the calculation:
Calculated formation energy ... -39.47 eV/f.u.